First-principles (PBE-GGA) data for a geometry-optimized Ca11Cd18Au4 structure, as listed in Materials Project.

Results
The crystal system is tetragonal. The space-group type is No. 109.

Geometry as POSCAR:
```
Ca11Cd18Au4
1.0
-14.2463 8.5132 4.0790
-13.3294 3.9811 -9.9270
10.5204 -12.5971 4.7648
Ca Cd Au
22 36 8
direct
0.5234 0.5234 0.0000
0.2734 0.7734 0.5000
0.9822 0.4822 0.5000
0.2322 0.2322 0.0000
0.6252 0.1252 0.5000
0.8752 0.8752 0.0000
0.6927 0.4853 0.7927
0.2353 0.9427 0.2927
0.6500 0.9427 0.7073
0.6927 0.9000 0.2073
0.8075 0.5137 0.7062
0.2637 0.0575 0.2062
0.8513 0.0575 0.7938
0.8075 0.1013 0.2938
0.4106 0.1925 0.7818
0.9425 0.6606 0.2818
0.3788 0.6606 0.7182
0.4106 0.6288 0.2182
0.0851 0.7926 0.7076
0.5426 0.3351 0.2076
0.1275 0.3351 0.7924
0.0851 0.3775 0.2924
0.7400 0.3742 0.9307
0.4435 0.3742 0.6341
0.1242 0.9900 0.4307
0.5594 0.9900 0.8659
0.7400 0.8094 0.3659
0.4435 0.8094 0.0693
0.1242 0.6935 0.1341
0.5594 0.6935 0.5693
0.7621 0.6283 0.5740
0.0543 0.6283 0.8662
0.3783 0.0121 0.0740
0.9381 0.0121 0.6338
0.7621 0.1881 0.1338
0.0543 0.1881 0.4260
0.3783 0.3043 0.3662
0.9381 0.3043 0.9260
0.0248 0.4991 0.0229
0.4763 0.4991 0.4744
0.2491 0.2748 0.5229
0.7519 0.2748 0.0256
0.0248 0.0019 0.5256
0.4763 0.0019 0.9771
0.2491 0.7263 0.9744
0.7519 0.7263 0.4771
0.8709 0.2314 0.6395
0.5919 0.2314 0.3605
0.9814 0.1209 0.1395
0.9814 0.8419 0.8605
0.6279 0.7683 0.8596
0.9087 0.7683 0.1404
0.5183 0.8779 0.3596
0.5183 0.1587 0.6404
0.1933 0.8960 0.7027
0.6460 0.4433 0.2027
0.2406 0.4433 0.7973
0.1933 0.4906 0.2973
0.6243 0.6243 0.0000
0.3743 0.8743 0.5000
0.8769 0.3769 0.5000
0.1269 0.1269 0.0000
0.3067 0.1028 0.7961
0.8528 0.5567 0.2961
0.2607 0.5567 0.7039
0.3067 0.5107 0.2039
```

=====

First-principles (PBE-GGA) data for a geometry-optimized TbSF structure, as listed in Materials Project.

Results
The MP2020-corrected energy comes out at -6.88 eV per atom. The crystal system is tetragonal. The space-group type is No. 129.

Geometry as POSCAR:
```
TbSF
1.0
3.8072 0.0000 0.0000
0.0000 3.8072 0.0000
0.0000 0.0000 6.8759
Tb S F
2 2 2
direct
0.0000 0.5000 0.7714
0.5000 0.0000 0.2286
0.5000 0.0000 0.6439
0.0000 0.5000 0.3561
0.5000 0.5000 0.0000
0.0000 0.0000 0.0000
```

=====

First-principles (PBE-GGA) data for a geometry-optimized PrIn2Ni structure, as listed in Materials Project.

Results
The crystal system is orthorhombic. The space-group type is No. 63.

Geometry as POSCAR:
```
PrIn2Ni
1.0
2.2107 -9.2845 0.0000
2.2107 9.2845 0.0000
0.0000 0.0000 22.0089
Pr In Ni
10 20 10
direct
0.5625 0.4375 0.0802
0.4375 0.5625 0.9198
0.5625 0.4375 0.4198
0.4375 0.5625 0.5802
0.7720 0.2280 0.1290
0.2280 0.7720 0.8710
0.7720 0.2280 0.3710
0.2280 0.7720 0.6290
0.5304 0.4696 0.2500
0.4696 0.5304 0.7500
0.2751 0.7249 0.2500
0.7249 0.2751 0.7500
0.2003 0.7997 0.0332
0.7997 0.2003 0.9668
0.2003 0.7997 0.4668
0.7997 0.2003 0.5332
0.4011 0.5989 0.1434
0.5989 0.4011 0.8566
0.4011 0.5989 0.3566
0.5989 0.4011 0.6434
0.1365 0.8635 0.1752
0.8635 0.1365 0.8248
0.1365 0.8635 0.3248
0.8635 0.1365 0.6752
0.8918 0.1082 0.2500
0.1082 0.8918 0.7500
0.9327 0.0673 0.0432
0.0673 0.9327 0.9568
0.9327 0.0673 0.4568
0.0673 0.9327 0.5432
0.6554 0.3446 0.9678
0.3446 0.6554 0.0322
0.6554 0.3446 0.5322
0.3446 0.6554 0.4678
0.9852 0.0148 0.1578
0.0148 0.9852 0.8422
0.9852 0.0148 0.3422
0.0148 0.9852 0.6578
0.6826 0.3174 0.2500
0.3174 0.6826 0.7500
```

=====

First-principles (PBE-GGA) data for a geometry-optimized Cs2KTaCl6 structure, as listed in Materials Project.

Results
The MP2020-corrected energy comes out at -4.56 eV per atom. The crystal system is cubic. The space-group type is No. 225.

Geometry as POSCAR:
```
Cs2KTaCl6
1.0
0.0000 5.5117 5.5117
5.5117 0.0000 5.5117
5.5117 5.5117 0.0000
Cs K Ta Cl
2 1 1 6
direct
0.7500 0.7500 0.7500
0.2500 0.2500 0.2500
0.5000 0.5000 0.5000
0.0000 0.0000 0.0000
0.7747 0.2253 0.2253
0.2253 0.2253 0.7747
0.2253 0.7747 0.7747
0.2253 0.7747 0.2253
0.7747 0.2253 0.7747
0.7747 0.7747 0.2253
```

=====

First-principles (PBE-GGA) data for a geometry-optimized NaMgSO4F structure, as listed in Materials Project.

Results
The MP2020-corrected energy comes out at -6.20 eV per atom. The crystal system is monoclinic. The space-group type is No. 15.

Geometry as POSCAR:
```
NaMgSO4F
1.0
-5.1337 -1.2618 1.4817
2.8191 -0.2319 4.7054
-2.2519 5.7156 3.7292
Na Mg S O F
2 2 2 8 2
direct
0.3308 0.6692 0.2500
0.6692 0.3308 0.7500
0.0000 0.0000 0.0000
0.0000 0.0000 0.5000
0.6784 0.3216 0.2500
0.3216 0.6784 0.7500
0.6831 0.1284 0.1359
0.8716 0.3169 0.3641
0.3169 0.8716 0.8641
0.1284 0.6831 0.6359
0.7454 0.5932 0.1044
0.4068 0.2546 0.3956
0.2546 0.4068 0.8956
0.5932 0.7454 0.6044
0.0778 0.9222 0.2500
0.9222 0.0778 0.7500
```

=====

First-principles (PBE-GGA) data for a geometry-optimized Y11In6Si4 structure, as listed in Materials Project.

Results
The MP2020-corrected energy comes out at -5.83 eV per atom. The crystal system is tetragonal. The space-group type is No. 139.

Geometry as POSCAR:
```
Y11In6Si4
1.0
0.4934 -4.9704 10.3823
-10.3928 -4.6623 -1.7306
8.4474 -1.7517 -7.6364
Y In Si
22 12 8
direct
0.6851 0.9352 0.2502
0.6851 0.4349 0.7498
0.9352 0.6851 0.2502
0.4349 0.6851 0.7498
0.3149 0.0648 0.7498
0.3149 0.5651 0.2502
0.0648 0.3149 0.7498
0.5651 0.3149 0.2502
0.8986 0.2454 0.3468
0.8986 0.5518 0.6532
0.2454 0.8986 0.3468
0.5518 0.8986 0.6532
0.1014 0.7546 0.6532
0.1014 0.4482 0.3468
0.7546 0.1014 0.6532
0.4482 0.1014 0.3468
0.3323 0.3323 0.6646
0.6677 0.6677 0.3354
0.3323 0.6677 0.0000
0.6677 0.3323 0.0000
0.8326 0.8326 0.0000
0.1674 0.1674 0.0000
0.0356 0.0356 0.4129
0.6227 0.6227 0.5871
0.0356 0.6227 0.0000
0.6227 0.0356 0.0000
0.9644 0.9644 0.5871
0.3773 0.3773 0.4129
0.9644 0.3773 0.0000
0.3773 0.9644 0.0000
0.1291 0.1291 0.2582
0.8709 0.8709 0.7418
0.1291 0.8709 0.0000
0.8709 0.1291 0.0000
0.1522 0.5000 0.6522
0.8478 0.5000 0.3478
0.5000 0.8478 0.3478
0.5000 0.1522 0.6522
0.6172 0.6172 0.0000
0.3828 0.3828 0.0000
0.7500 0.2500 0.5000
0.2500 0.7500 0.5000
```

=====

First-principles (PBE-GGA) data for a geometry-optimized CuH2CBrN2 structure, as listed in Materials Project.

Results
The MP2020-corrected energy comes out at -5.67 eV per atom. The crystal system is orthorhombic. The space-group type is No. 62.

Geometry as POSCAR:
```
CuH2CBrN2
1.0
8.6206 0.0000 0.0000
0.0000 3.9442 0.0000
0.0000 0.0000 13.4231
Cu H C Br N
4 8 4 4 8
direct
0.1166 0.2500 0.4469
0.6166 0.2500 0.0531
0.8834 0.7500 0.5531
0.3834 0.7500 0.9469
0.6339 0.2500 0.2858
0.1339 0.2500 0.2142
0.3661 0.7500 0.7142
0.8661 0.7500 0.7858
0.6933 0.2500 0.4102
0.1933 0.2500 0.0898
0.3067 0.7500 0.5898
0.8067 0.7500 0.9102
0.4602 0.2500 0.3872
0.9602 0.2500 0.1128
0.5398 0.7500 0.6128
0.0398 0.7500 0.8872
0.0330 0.2500 0.6269
0.5330 0.2500 0.8731
0.9670 0.7500 0.3731
0.4670 0.7500 0.1269
0.3295 0.2500 0.4124
0.8295 0.2500 0.0876
0.6705 0.7500 0.5876
0.1705 0.7500 0.9124
0.6056 0.2500 0.3594
0.1056 0.2500 0.1406
0.3944 0.7500 0.6406
0.8944 0.7500 0.8594
```

=====

First-principles (PBE-GGA) data for a geometry-optimized Cs3W2Cl9 structure, as listed in Materials Project.

Results
The MP2020-corrected energy comes out at -4.93 eV per atom. The crystal system is hexagonal. The space-group type is No. 194.

Geometry as POSCAR:
```
Cs3W2Cl9
1.0
-4.3036 4.3264 -4.4539
2.2271 -6.8194 -2.3688
-14.9652 -7.4101 7.2623
Cs W Cl
6 4 18
direct
0.3333 0.6667 0.0723
0.0000 0.0000 0.2500
0.3333 0.6667 0.4277
0.0000 0.0000 0.7500
0.6667 0.3333 0.5723
0.6667 0.3333 0.9277
0.3333 0.6667 0.6737
0.3333 0.6667 0.8263
0.6667 0.3333 0.1737
0.6667 0.3333 0.3263
0.4920 0.5080 0.7500
0.9839 0.4920 0.2500
0.5080 0.4920 0.2500
0.6362 0.8181 0.5979
0.8181 0.6362 0.4021
0.5080 0.0161 0.2500
0.1819 0.8181 0.5979
0.1819 0.8181 0.9021
0.8181 0.1819 0.0979
0.1819 0.3638 0.9021
0.3638 0.1819 0.0979
0.8181 0.6362 0.0979
0.1819 0.3638 0.5979
0.4920 0.9839 0.7500
0.0161 0.5080 0.7500
0.3638 0.1819 0.4021
0.6362 0.8181 0.9021
0.8181 0.1819 0.4021
```

=====

DFT formation energy values, unit eV/atom, following the record order: -0.429, -3.321, -0.414, -1.977, -2.601, -0.620, -0.185, -1.694.
E values, unit eV per atom, following the record order: -1.9976, -6.5610, -4.4303, -4.1937, -5.7958, -5.8401, -5.5707, -4.5307.